Entry from Materials Project: a geometry-optimized Li2Ca2Ta3O10 structure (PBE-GGA).

```
Li2Ca2Ta3O10
1.0
-1.994 1.994 13.266
1.994 -1.994 13.266
1.994 1.994 -13.266
Li Ca Ta O
2 2 3 10
direct
0.250 0.750 0.500 Li
0.750 0.250 0.500 Li
0.085 0.085 0.000 Ca
0.915 0.915 0.000 Ca
0.346 0.346 0.000 Ta
0.500 0.500 0.000 Ta
0.654 0.654 0.000 Ta
0.000 0.500 0.500 O
0.144 0.644 0.500 O
0.274 0.274 0.000 O
0.356 0.856 0.500 O
0.425 0.425 0.000 O
0.500 0.000 0.500 O
0.575 0.575 0.000 O
0.644 0.144 0.500 O
0.726 0.726 0.000 O
0.856 0.356 0.500 O
```

Spin magnetization, μB/f.u.: 0.0
Electronic total energy, eV per atom: -8.2694